Record 1
# KEr2Cu3Se5 | the Materials Project | PBE | relaxed
data_KEr2Cu3Se5
_chemical_formula_sum 'K2 Er4 Cu6 Se10'
_symmetry_space_group_name_H-M 'P 1'
_symmetry_Int_Tables_number 1
_symmetry_space_group_name_Hall 'P 1'
_cell_length_a 7.494
_cell_length_b 7.494
_cell_length_c 17.020
_cell_angle_alpha 90.00
_cell_angle_beta 90.00
_cell_angle_gamma 148.16
loop_
_atom_site_label
_atom_site_fract_x
_atom_site_fract_y
_atom_site_fract_z
_atom_site_occupancy
Se1 0.751 0.249 0.750 1
Se2 0.440 0.560 0.882 1
Er1 0.192 0.808 0.093 1
Cu1 0.584 0.416 0.970 1
Cu2 0.584 0.416 0.530 1
Se3 0.166 0.834 0.570 1
Cu3 0.416 0.584 0.470 1
Er2 0.808 0.192 0.593 1
Se4 0.166 0.834 0.930 1
K1 0.938 0.062 0.250 1
Se5 0.834 0.166 0.070 1
Er3 0.192 0.808 0.407 1
Se6 0.249 0.751 0.250 1
Se7 0.560 0.440 0.382 1
Cu4 0.660 0.340 0.250 1
K2 0.062 0.938 0.750 1
Er4 0.808 0.192 0.907 1
Cu5 0.416 0.584 0.030 1
Se8 0.834 0.166 0.430 1
Cu6 0.340 0.660 0.750 1
Se9 0.560 0.440 0.118 1
Se10 0.440 0.560 0.618 1
# electronic total energy: -4.750 eV per atom
# energy relative to the elements: -1326 meV/atom
# M_tot: 0.001 μB/f.u.
# volume: 22.92 Å³ per atom
# space-group type: No. 63
# crystal system: orthorhombic
# energy with MP2020 corrections: -4.96 eV per atom



Record 2
# K3Er4Cu5Te10 | the Materials Project | PBE | relaxed
data_K3Er4Cu5Te10
_chemical_formula_sum 'K6 Er8 Cu10 Te20'
_symmetry_space_group_name_H-M 'P 1'
_symmetry_Int_Tables_number 1
_symmetry_space_group_name_Hall 'P 1'
_cell_length_a 4.329
_cell_length_b 16.551
_cell_length_c 17.668
_cell_angle_alpha 90.00
_cell_angle_beta 90.00
_cell_angle_gamma 90.00
loop_
_atom_site_label
_atom_site_fract_x
_atom_site_fract_y
_atom_site_fract_z
_atom_site_occupancy
Cu1 0.500 0.185 0.959 1
Te1 0.000 0.252 0.315 1
K1 0.000 0.750 0.999 1
Te2 0.000 0.518 0.786 1
Cu2 0.500 0.656 0.309 1
Te3 0.500 0.922 0.006 1
Te4 0.000 0.978 0.214 1
Er1 0.500 0.315 0.214 1
K2 0.500 0.421 0.662 1
Te5 0.000 0.254 0.686 1
K3 0.500 0.250 0.499 1
Er2 0.000 0.818 0.286 1
Er3 0.000 0.041 0.055 1
Cu3 0.000 0.688 0.543 1
Te6 0.000 0.837 0.605 1
Er4 0.000 0.464 0.948 1
Cu4 0.000 0.408 0.346 1
Cu5 0.000 0.344 0.809 1
Te7 0.000 0.119 0.897 1
Cu6 0.000 0.090 0.655 1
Te8 0.500 0.482 0.286 1
K4 0.000 0.920 0.836 1
Te9 0.500 0.748 0.815 1
Te10 0.500 0.746 0.186 1
Te11 0.500 0.022 0.714 1
Cu7 0.000 0.815 0.459 1
Te12 0.000 0.423 0.495 1
Te13 0.000 0.381 0.101 1
Er5 0.500 0.182 0.786 1
Te14 0.000 0.665 0.394 1
Te15 0.500 0.881 0.397 1
Er6 0.500 0.959 0.555 1
Te16 0.500 0.163 0.105 1
Cu8 0.500 0.312 0.043 1
Er7 0.000 0.685 0.714 1
K5 0.500 0.080 0.336 1
Er8 0.500 0.536 0.448 1
Te17 0.500 0.335 0.894 1
Cu9 0.500 0.592 0.846 1
Cu10 0.500 0.910 0.155 1
Te18 0.500 0.619 0.601 1
K6 0.000 0.579 0.162 1
Te19 0.000 0.078 0.506 1
Te20 0.500 0.577 0.995 1
# electronic total energy: -4.262 eV per atom
# energy relative to the elements: -1111 meV/atom
# M_tot: 0.000 μB/f.u.
# volume: 28.77 Å³ per atom
# space-group type: No. 31
# crystal system: orthorhombic
# energy with MP2020 corrections: -4.45 eV per atom



Record 3
# ErLuCu2 | the Materials Project | PBE | relaxed
data_ErLuCu2
_chemical_formula_sum 'Er1 Lu1 Cu2'
_symmetry_space_group_name_H-M 'P 1'
_symmetry_Int_Tables_number 1
_symmetry_space_group_name_Hall 'P 1'
_cell_length_a 4.832
_cell_length_b 4.832
_cell_length_c 4.832
_cell_angle_alpha 60.00
_cell_angle_beta 60.00
_cell_angle_gamma 60.00
loop_
_atom_site_label
_atom_site_fract_x
_atom_site_fract_y
_atom_site_fract_z
_atom_site_occupancy
Lu1 0.000 0.000 0.000 1
Er1 0.500 0.500 0.500 1
Cu1 0.250 0.250 0.250 1
Cu2 0.750 0.750 0.750 1
# electronic total energy: -4.612 eV per atom
# energy relative to the elements: -290 meV/atom
# volume: 19.94 Å³ per atom
# space-group type: No. 225
# crystal system: cubic



Record 4
# Er2MgCu2 | the Materials Project | PBE | relaxed
data_Er2MgCu2
_chemical_formula_sum 'Er4 Mg2 Cu4'
_symmetry_space_group_name_H-M 'P 1'
_symmetry_Int_Tables_number 1
_symmetry_space_group_name_Hall 'P 1'
_cell_length_a 3.582
_cell_length_b 7.642
_cell_length_c 7.642
_cell_angle_alpha 90.00
_cell_angle_beta 90.00
_cell_angle_gamma 90.00
loop_
_atom_site_label
_atom_site_fract_x
_atom_site_fract_y
_atom_site_fract_z
_atom_site_occupancy
Er1 0.500 0.325 0.175 1
Mg1 0.000 0.500 0.500 1
Cu1 0.000 0.881 0.619 1
Er2 0.500 0.675 0.825 1
Cu2 0.000 0.119 0.381 1
Mg2 0.000 0.000 0.000 1
Cu3 0.000 0.619 0.119 1
Cu4 0.000 0.381 0.881 1
Er3 0.500 0.175 0.675 1
Er4 0.500 0.825 0.325 1
# electronic total energy: -4.027 eV per atom
# energy relative to the elements: -240 meV/atom
# volume: 20.92 Å³ per atom
# space-group type: No. 127
# crystal system: tetragonal



The highest energy relative to the elements belongs to which entry?
Er2MgCu2



Which value of electronic total energy does entry 3 give?
-4.612 eV per atom



Among the records above, which one has the highest volume?
K3Er4Cu5Te10